SrO3 | PBE-GGA | optimized geometry

Summary:
energy with MP2020 corrections: -21.71 eV/f.u.
theoretical density: 4.11 g/cm³
E_form: -1294 meV/atom

CIF file:
```
data_SrO3
_chemical_formula_sum 'Sr2 O6'
_space_group_name_H-M_alt 'P m c 21'
_space_group_IT_number 26
_space_group_name_Hall 'P 2c -2'
_cell_length_a 3.7735
_cell_length_b 4.7941
_cell_length_c 6.0640
_cell_angle_alpha 90.00
_cell_angle_beta 90.00
_cell_angle_gamma 90.00
loop_
_atom_site_label
_atom_site_type_symbol
_atom_site_fract_x
_atom_site_fract_y
_atom_site_fract_z
Sr1 Sr 0.0000 0.2092 0.0000
O1 O 0.0000 0.3001 0.5959
O2 O 0.5000 0.1255 0.3155
O3 O 0.5000 0.3176 0.4865
```